Record 1
Crystalline Li3Cr4P6O24 at its relaxed geometry. Source: the Materials Project, functional PBE with a Hubbard U.

a b c (Å): 8.550 8.643 8.589
angles (deg): 60.77 59.97 89.77
Fractional coordinates of all 37 atoms:
1 Li 0.350 0.558 0.620
2 Li 0.030 0.055 0.614
3 Li 0.741 0.339 0.366
4 Cr 0.849 0.575 0.789
5 Cr 0.355 0.073 0.796
6 Cr 0.646 0.929 0.201
7 Cr 0.154 0.432 0.201
8 P 0.529 0.742 0.720
9 P 0.249 0.760 0.279
10 P 0.753 0.243 0.721
11 P 0.036 0.253 0.000
12 P 0.475 0.257 0.278
13 P 0.958 0.753 0.000
14 O 0.119 0.933 0.871
15 O 0.011 0.441 0.864
16 O 0.485 0.896 0.758
17 O 0.062 0.713 0.484
18 O 0.369 0.551 0.902
19 O 0.232 0.265 0.822
20 O 0.288 0.953 0.087
21 O 0.549 0.778 0.516
22 O 0.723 0.735 0.693
23 O 0.945 0.765 0.819
24 O 0.408 0.759 0.321
25 O 0.249 0.611 0.230
26 O 0.758 0.394 0.764
27 O 0.042 0.249 0.178
28 O 0.597 0.244 0.679
29 O 0.277 0.257 0.322
30 O 0.726 0.050 0.904
31 O 0.473 0.218 0.475
32 O 0.766 0.749 0.174
33 O 0.635 0.448 0.089
34 O 0.939 0.279 0.516
35 O 0.520 0.102 0.239
36 O 0.983 0.567 0.133
37 O 0.876 0.077 0.116

Record 2
Crystalline LiV2O3F3 at its relaxed geometry. Source: the Materials Project, functional PBE with a Hubbard U.

Properties
Piezoelectric modulus e_max: 1.021 C/m2

a b c (Å): 5.104 5.144 5.301
angles (deg): 92.49 116.43 118.10
Fractional coordinates of all 9 atoms:
1 Li 0.582 0.808 0.343
2 V 0.994 0.484 0.527
3 V 0.003 0.013 0.000
4 O 0.071 0.839 0.752
5 O 0.894 0.246 0.730
6 O 0.897 0.143 0.238
7 F 0.144 0.761 0.272
8 F 0.509 0.391 0.245
9 F 0.495 0.644 0.746

Record 3
Crystalline Cs5V5FeCl6O13 at its relaxed geometry. Source: the Materials Project, functional PBE with a Hubbard U.

a b c (Å): 11.200 11.200 11.066
angles (deg): 90.00 90.00 90.00
Fractional coordinates of all 60 atoms:
1 Cs 0.500 0.000 0.650
2 Cs 0.000 0.500 0.350
3 Cs 0.765 0.735 0.717
4 Cs 0.765 0.265 0.717
5 Cs 0.235 0.735 0.717
6 Cs 0.235 0.265 0.717
7 Cs 0.735 0.765 0.283
8 Cs 0.735 0.235 0.283
9 Cs 0.265 0.765 0.283
10 Cs 0.265 0.235 0.283
11 V 0.000 0.500 0.852
12 V 0.500 0.000 0.148
13 V 0.776 0.000 0.989
14 V 0.224 0.000 0.989
15 V 0.500 0.276 0.989
16 V 0.500 0.724 0.989
17 V 0.724 0.500 0.011
18 V 0.276 0.500 0.011
19 V 0.000 0.224 0.011
20 V 0.000 0.776 0.011
21 Fe 0.500 0.500 0.500
22 Fe 0.000 0.000 0.500
23 Cl 0.720 0.500 0.496
24 Cl 0.280 0.500 0.496
25 Cl 0.000 0.220 0.496
26 Cl 0.000 0.780 0.496
27 Cl 0.780 0.000 0.504
28 Cl 0.220 0.000 0.504
29 Cl 0.500 0.280 0.504
30 Cl 0.500 0.720 0.504
31 Cl 0.500 0.500 0.715
32 Cl 0.000 0.000 0.715
33 Cl 0.000 0.000 0.285
34 Cl 0.500 0.500 0.285
35 O 0.000 0.500 0.705
36 O 0.500 0.000 0.295
37 O 0.706 0.000 0.859
38 O 0.294 0.000 0.859
39 O 0.500 0.206 0.859
40 O 0.500 0.794 0.859
41 O 0.794 0.500 0.141
42 O 0.206 0.500 0.141
43 O 0.000 0.294 0.141
44 O 0.000 0.706 0.141
45 O 0.673 0.000 0.106
46 O 0.327 0.000 0.106
47 O 0.500 0.173 0.106
48 O 0.500 0.827 0.106
49 O 0.827 0.500 0.894
50 O 0.173 0.500 0.894
51 O 0.000 0.327 0.894
52 O 0.000 0.673 0.894
53 O 0.866 0.866 0.000
54 O 0.866 0.134 0.000
55 O 0.134 0.866 0.000
56 O 0.134 0.134 0.000
57 O 0.366 0.366 0.000
58 O 0.366 0.634 0.000
59 O 0.634 0.366 0.000
60 O 0.634 0.634 0.000

Record 4
Crystalline KTaV2O8 at its relaxed geometry. Source: the Materials Project, functional PBE with a Hubbard U.

a b c (Å): 5.669 8.720 15.190
angles (deg): 90.00 90.00 90.00
Fractional coordinates of all 48 atoms:
1 K 0.250 0.948 0.877
2 K 0.250 0.552 0.377
3 K 0.750 0.052 0.123
4 K 0.750 0.448 0.623
5 Ta 0.250 0.813 0.618
6 Ta 0.250 0.687 0.118
7 Ta 0.750 0.187 0.382
8 Ta 0.750 0.313 0.882
9 V 0.250 0.512 0.786
10 V 0.250 0.988 0.286
11 V 0.750 0.488 0.214
12 V 0.750 0.012 0.714
13 V 0.250 0.208 0.528
14 V 0.250 0.292 0.028
15 V 0.750 0.792 0.472
16 V 0.750 0.708 0.972
17 O 0.009 0.898 0.701
18 O 0.491 0.602 0.201
19 O 0.509 0.102 0.299
20 O 0.991 0.398 0.799
21 O 0.991 0.102 0.299
22 O 0.509 0.398 0.799
23 O 0.491 0.898 0.701
24 O 0.009 0.602 0.201
25 O 0.000 0.734 0.538
26 O 0.500 0.766 0.038
27 O 0.500 0.266 0.462
28 O 0.000 0.234 0.962
29 O 0.000 0.266 0.462
30 O 0.500 0.234 0.962
31 O 0.500 0.734 0.538
32 O 0.000 0.766 0.038
33 O 0.250 0.617 0.684
34 O 0.250 0.883 0.184
35 O 0.750 0.383 0.316
36 O 0.750 0.117 0.816
37 O 0.250 0.011 0.553
38 O 0.250 0.489 0.053
39 O 0.750 0.989 0.447
40 O 0.750 0.511 0.947
41 O 0.250 0.639 0.866
42 O 0.250 0.861 0.366
43 O 0.750 0.361 0.134
44 O 0.750 0.139 0.634
45 O 0.750 0.811 0.882
46 O 0.750 0.689 0.382
47 O 0.250 0.189 0.118
48 O 0.250 0.311 0.618

Record 5
Crystalline Li9Co7O16 at its relaxed geometry. Source: the Materials Project, functional PBE with a Hubbard U.

a b c (Å): 2.916 2.916 38.851
angles (deg): 88.20 88.20 59.86
Fractional coordinates of all 32 atoms:
1 Li 0.815 0.815 0.560
2 Li 0.185 0.185 0.440
3 Li 0.560 0.560 0.313
4 Li 0.937 0.937 0.187
5 Li 0.316 0.316 0.062
6 Li 0.684 0.684 0.938
7 Li 0.063 0.063 0.813
8 Li 0.440 0.440 0.687
9 Li 0.500 0.500 0.500
10 Co 0.123 0.123 0.625
11 Co 0.877 0.877 0.375
12 Co 0.249 0.249 0.250
13 Co 0.626 0.626 0.125
14 Co 0.000 0.000 0.000
15 Co 0.374 0.374 0.875
16 Co 0.751 0.751 0.750
17 O 0.451 0.451 0.599
18 O 0.847 0.847 0.468
19 O 0.204 0.204 0.347
20 O 0.615 0.615 0.223
21 O 0.975 0.975 0.096
22 O 0.328 0.328 0.971
23 O 0.723 0.723 0.846
24 O 0.116 0.116 0.722
25 O 0.153 0.153 0.532
26 O 0.549 0.549 0.401
27 O 0.884 0.884 0.278
28 O 0.277 0.277 0.154
29 O 0.672 0.672 0.029
30 O 0.025 0.025 0.904
31 O 0.385 0.385 0.777
32 O 0.796 0.796 0.653

Record 6
Crystalline Sr3Co2O9 at its relaxed geometry. Source: the Materials Project, functional PBE with a Hubbard U.

a b c (Å): 12.678 12.678 3.779
angles (deg): 81.83 81.83 17.80
Fractional coordinates of all 14 atoms:
1 Sr 0.658 0.658 0.342
2 Sr 0.342 0.342 0.658
3 Sr 0.500 0.500 0.500
4 Co 0.923 0.923 0.084
5 Co 0.077 0.077 0.916
6 O 0.589 0.589 0.910
7 O 0.411 0.411 0.090
8 O 0.818 0.818 0.186
9 O 0.182 0.182 0.814
10 O 0.764 0.764 0.226
11 O 0.236 0.236 0.774
12 O 0.912 0.912 0.590
13 O 0.088 0.088 0.410
14 O 0.000 0.000 0.000

Record 7
Crystalline Mn12O7F17 at its relaxed geometry. Source: the Materials Project, functional PBE with a Hubbard U.

a b c (Å): 4.794 5.807 15.862
angles (deg): 90.52 90.22 90.56
Fractional coordinates of all 36 atoms:
1 Mn 0.007 0.165 0.592
2 Mn 0.972 0.861 0.757
3 Mn 0.014 0.163 0.919
4 Mn 0.952 0.172 0.251
5 Mn 0.971 0.840 0.410
6 Mn 0.005 0.834 0.083
7 Mn 0.524 0.335 0.412
8 Mn 0.487 0.344 0.081
9 Mn 0.509 0.328 0.740
10 Mn 0.505 0.656 0.912
11 Mn 0.480 0.650 0.584
12 Mn 0.516 0.636 0.253
13 O 0.786 0.117 0.696
14 O 0.772 0.110 0.357
15 O 0.793 0.894 0.866
16 O 0.715 0.601 0.358
17 O 0.702 0.387 0.194
18 O 0.277 0.387 0.971
19 O 0.291 0.367 0.638
20 F 0.781 0.120 0.026
21 F 0.770 0.900 0.532
22 F 0.754 0.888 0.190
23 F 0.736 0.387 0.850
24 F 0.739 0.618 0.692
25 F 0.747 0.397 0.526
26 F 0.732 0.607 0.025
27 F 0.270 0.613 0.799
28 F 0.260 0.612 0.468
29 F 0.281 0.625 0.147
30 F 0.246 0.377 0.309
31 F 0.249 0.120 0.813
32 F 0.239 0.112 0.476
33 F 0.220 0.872 0.651
34 F 0.260 0.895 0.978
35 F 0.199 0.135 0.145
36 F 0.238 0.875 0.298

Record 8
Crystalline MgMnV3O8 at its relaxed geometry. Source: the Materials Project, functional PBE with a Hubbard U.

a b c (Å): 5.603 7.086 5.405
angles (deg): 91.28 90.14 87.42
Fractional coordinates of all 13 atoms:
1 Mg 0.918 0.373 0.506
2 Mn 0.902 0.872 0.490
3 V 0.080 0.107 0.009
4 V 0.415 0.641 0.498
5 V 0.582 0.377 0.999
6 O 0.998 0.126 0.336
7 O 0.099 0.606 0.451
8 O 0.393 0.183 0.975
9 O 0.516 0.579 0.818
10 O 0.608 0.445 0.336
11 O 0.546 0.847 0.428
12 O 0.883 0.303 0.862
13 O 0.010 0.907 0.849

Record 9
Crystalline Mn5O3F5 at its relaxed geometry. Source: the Materials Project, functional PBE with a Hubbard U.

a b c (Å): 6.404 11.108 6.404
angles (deg): 75.33 59.64 91.83
Fractional coordinates of all 26 atoms:
1 Mn 0.556 0.192 0.364
2 Mn 0.055 0.690 0.365
3 Mn 0.468 0.482 0.986
4 Mn 0.968 0.982 0.986
5 Mn 0.329 0.942 0.387
6 Mn 0.830 0.441 0.388
7 Mn 0.077 0.185 0.381
8 Mn 0.577 0.686 0.381
9 Mn 0.566 0.185 0.892
10 Mn 0.067 0.686 0.891
11 O 0.640 0.054 0.148
12 O 0.138 0.555 0.148
13 O 0.430 0.293 0.137
14 O 0.931 0.793 0.138
15 O 0.202 0.054 0.586
16 O 0.703 0.555 0.583
17 F 0.179 0.066 0.114
18 F 0.682 0.565 0.116
19 F 0.925 0.305 0.620
20 F 0.425 0.806 0.618
21 F 0.919 0.321 0.188
22 F 0.418 0.820 0.188
23 F 0.695 0.098 0.596
24 F 0.195 0.598 0.597
25 F 0.509 0.321 0.598
26 F 0.008 0.820 0.598

Record 10
Crystalline CsMg6CoO8 at its relaxed geometry. Source: the Materials Project, functional PBE with a Hubbard U.

a b c (Å): 9.369 4.460 4.460
angles (deg): 90.00 90.00 90.00
Fractional coordinates of all 16 atoms:
1 Cs 0.000 0.500 0.500
2 Mg 0.500 0.000 0.000
3 Mg 0.500 0.500 0.500
4 Mg 0.277 0.000 0.500
5 Mg 0.723 0.000 0.500
6 Mg 0.277 0.500 0.000
7 Mg 0.723 0.500 0.000
8 Co 0.000 0.000 0.000
9 O 0.265 0.000 0.000
10 O 0.735 0.000 0.000
11 O 0.288 0.500 0.500
12 O 0.712 0.500 0.500
13 O 0.000 0.000 0.500
14 O 0.500 0.000 0.500
15 O 0.000 0.500 0.000
16 O 0.500 0.500 0.000

Record 11
Crystalline Li7Mn11O24 at its relaxed geometry. Source: the Materials Project, functional PBE with a Hubbard U.

a b c (Å): 10.042 10.042 8.563
angles (deg): 66.44 66.44 33.52
Fractional coordinates of all 42 atoms:
1 Li 0.770 0.432 0.764
2 Li 0.420 0.086 0.117
3 Li 0.088 0.754 0.457
4 Li 0.246 0.912 0.543
5 Li 0.914 0.580 0.883
6 Li 0.568 0.230 0.236
7 Li 0.658 0.342 0.000
8 Mn 0.331 0.996 0.841
9 Mn 0.003 0.160 0.159
10 Mn 0.167 0.333 0.500
11 Mn 0.836 0.502 0.317
12 Mn 0.004 0.669 0.159
13 Mn 0.495 0.669 0.159
14 Mn 0.667 0.833 0.500
15 Mn 0.840 0.997 0.841
16 Mn 0.498 0.164 0.683
17 Mn 0.667 0.333 0.500
18 Mn 0.331 0.505 0.841
19 O 0.506 0.678 0.930
20 O 0.325 0.991 0.077
21 O 0.012 0.171 0.930
22 O 0.138 0.363 0.245
23 O 0.825 0.490 0.106
24 O 0.844 0.509 0.540
25 O 0.994 0.663 0.396
26 O 0.697 0.803 0.244
27 O 0.637 0.862 0.755
28 O 0.806 0.025 0.608
29 O 0.491 0.156 0.460
30 O 0.337 0.006 0.604
31 O 0.510 0.175 0.894
32 O 0.658 0.325 0.774
33 O 0.197 0.303 0.756
34 O 0.358 0.473 0.608
35 O 0.322 0.494 0.070
36 O 0.153 0.820 0.761
37 O 0.180 0.847 0.239
38 O 0.009 0.675 0.923
39 O 0.829 0.988 0.070
40 O 0.975 0.194 0.392
41 O 0.675 0.342 0.226
42 O 0.527 0.642 0.392

Computed formation enthalpy at 0 K, in the same sequence as the records: -92.76 -24.51 -59.88 -32.26 -50.76 -21.55 -91.90 -30.92 -32.21 -34.26 -85.12 eV per formula unit.